Material: LiMn2P2O8
Method: DFT, PBE+U
State: optimized geometry

CIF file:
```
data_LiMn2P2O8
_chemical_formula_sum 'Li2 Mn4 P4 O16'
_space_group_name_H-M_alt 'P 1 c 1'
_space_group_IT_number 7
_cell_length_a 8.005
_cell_length_b 5.402
_cell_length_c 8.627
_cell_angle_alpha 90.00
_cell_angle_beta 103.78
_cell_angle_gamma 90.00
loop_
_space_group_symop_operation_xyz
'x,y,z'
'x,-y,z+1/2'
loop_
_atom_site_label
_atom_site_fract_x
_atom_site_fract_y
_atom_site_fract_z
_atom_site_occupancy
Li1 0.000 0.175 0.000 1
Mn1 0.409 0.175 0.329 1
Mn2 0.868 0.337 0.619 1
P1 0.109 0.324 0.371 1
P2 0.617 0.160 0.048 1
O1 0.043 0.407 0.838 1
O2 0.146 0.209 0.216 1
O3 0.294 0.303 0.485 1
O4 0.477 0.170 0.888 1
O5 0.544 0.266 0.186 1
O6 0.660 0.118 0.576 1
O7 0.778 0.314 0.040 1
O8 0.981 0.176 0.443 1
```

Computed properties:
volume	13.9	Å³ per atom
energy above the most stable polymorph in this dataset	75	meV/atom
ρ	2.81	Mg/m³
energy of formation from the pure elements	-2.46	eV/atom
energy	-187.65	eV for the cell shown